Crystalline Li32Mn13Cr3O48 at its relaxed geometry. Source: Materials Project, functional PBE+U.

Output
Crystal system: triclinic
Calculated volume: 8.684 A^3/atom
E_form: -2189.1 meV/atom

abc: 5.006 8.695 19.430
angles: 81.55 85.30 89.98
Fractional coordinates of all 96 atoms:
Li 0.000 0.000 0.000
Li 0.000 0.001 0.500
Li 0.005 0.332 0.000
Li 0.007 0.330 0.500
Li 0.013 0.662 0.500
Li 0.014 0.660 0.000
Li 0.129 0.456 0.625
Li 0.132 0.456 0.125
Li 0.247 0.250 0.250
Li 0.249 0.247 0.750
Li 0.256 0.581 0.250
Li 0.258 0.582 0.750
Li 0.266 0.914 0.749
Li 0.267 0.912 0.250
Li 0.381 0.705 0.875
Li 0.382 0.707 0.375
Li 0.498 0.500 0.000
Li 0.501 0.502 0.500
Li 0.504 0.830 0.500
Li 0.506 0.831 0.000
Li 0.515 0.161 0.001
Li 0.515 0.161 0.501
Li 0.631 0.956 0.625
Li 0.632 0.956 0.125
Li 0.747 0.750 0.251
Li 0.748 0.749 0.751
Li 0.753 0.081 0.750
Li 0.758 0.079 0.250
Li 0.764 0.412 0.250
Li 0.766 0.412 0.751
Li 0.879 0.205 0.875
Li 0.884 0.206 0.375
Mn 0.130 0.121 0.626
Mn 0.131 0.789 0.125
Mn 0.132 0.122 0.125
Mn 0.132 0.789 0.625
Mn 0.380 0.374 0.376
Mn 0.383 0.038 0.874
Mn 0.631 0.289 0.125
Mn 0.632 0.622 0.125
Mn 0.634 0.624 0.625
Mn 0.880 0.540 0.876
Mn 0.881 0.539 0.375
Mn 0.883 0.872 0.875
Mn 0.884 0.871 0.375
Cr 0.377 0.371 0.875
Cr 0.386 0.041 0.375
Cr 0.625 0.291 0.625
O 0.042 0.724 0.820
O 0.044 0.723 0.319
O 0.078 0.403 0.318
O 0.079 0.044 0.319
O 0.079 0.046 0.820
O 0.082 0.405 0.818
O 0.179 0.511 0.933
O 0.184 0.866 0.431
O 0.185 0.509 0.432
O 0.185 0.866 0.931
O 0.219 0.191 0.432
O 0.225 0.188 0.931
O 0.292 0.974 0.570
O 0.293 0.974 0.069
O 0.328 0.296 0.069
O 0.329 0.653 0.068
O 0.329 0.653 0.569
O 0.332 0.294 0.570
O 0.429 0.113 0.682
O 0.434 0.758 0.182
O 0.434 0.759 0.682
O 0.435 0.116 0.181
O 0.471 0.437 0.181
O 0.475 0.437 0.681
O 0.539 0.224 0.320
O 0.545 0.221 0.818
O 0.579 0.544 0.819
O 0.579 0.546 0.319
O 0.579 0.902 0.819
O 0.583 0.901 0.318
O 0.680 0.006 0.432
O 0.685 0.008 0.932
O 0.685 0.366 0.431
O 0.685 0.367 0.931
O 0.719 0.688 0.931
O 0.720 0.687 0.431
O 0.792 0.474 0.069
O 0.795 0.479 0.569
O 0.828 0.153 0.068
O 0.828 0.795 0.069
O 0.828 0.797 0.569
O 0.829 0.154 0.569
O 0.934 0.258 0.182
O 0.935 0.257 0.682
O 0.935 0.616 0.181
O 0.936 0.616 0.681
O 0.969 0.936 0.681
O 0.971 0.937 0.181


Crystalline V2ZnO4 at its relaxed geometry. Source: Materials Project, functional PBE+U.

Output
Crystal system: monoclinic
Calculated volume: 11.349 A^3/atom
E_form: -2264.4 meV/atom
Polymorph energy (0 for the lowest one): 0.54 eV/f.u.

abc: 6.085 6.085 20.102
angles: 98.03 98.03 59.92
Fractional coordinates of all 56 atoms:
V 0.000 0.000 0.000
V 0.028 0.528 0.595
V 0.032 0.527 0.094
V 0.253 0.253 0.753
V 0.275 0.778 0.344
V 0.280 0.780 0.844
V 0.401 0.401 0.217
V 0.501 0.501 0.502
V 0.527 0.032 0.094
V 0.528 0.028 0.595
V 0.555 0.555 0.686
V 0.653 0.653 0.968
V 0.749 0.749 0.249
V 0.778 0.275 0.344
V 0.780 0.280 0.844
V 0.805 0.805 0.437
Zn 0.028 0.028 0.595
Zn 0.055 0.055 0.188
Zn 0.154 0.154 0.469
Zn 0.275 0.275 0.344
Zn 0.304 0.304 0.937
Zn 0.527 0.527 0.094
Zn 0.779 0.779 0.845
Zn 0.902 0.902 0.719
O 0.085 0.085 0.290
O 0.088 0.088 0.788
O 0.093 0.608 0.785
O 0.109 0.587 0.282
O 0.196 0.718 0.654
O 0.218 0.688 0.155
O 0.224 0.224 0.652
O 0.228 0.228 0.156
O 0.336 0.336 0.536
O 0.337 0.337 0.039
O 0.338 0.859 0.534
O 0.362 0.842 0.033
O 0.450 0.962 0.403
O 0.470 0.470 0.401
O 0.472 0.937 0.904
O 0.480 0.480 0.904
O 0.579 0.579 0.282
O 0.587 0.109 0.282
O 0.587 0.587 0.784
O 0.608 0.093 0.785
O 0.688 0.218 0.155
O 0.718 0.196 0.654
O 0.720 0.720 0.150
O 0.720 0.720 0.652
O 0.830 0.830 0.031
O 0.833 0.833 0.537
O 0.842 0.362 0.033
O 0.859 0.338 0.534
O 0.937 0.472 0.904
O 0.962 0.450 0.403
O 0.967 0.967 0.402
O 0.970 0.970 0.902


Crystalline Li2MnP4O12 at its relaxed geometry. Source: Materials Project, functional PBE+U.

Output
Crystal system: monoclinic
Calculated volume: 12.961 A^3/atom
E_form: -2623.6 meV/atom
Polymorph energy (0 for the lowest one): 0.43 eV/f.u.

abc: 8.552 8.552 7.443
angles: 93.87 93.87 114.23
Fractional coordinates of all 38 atoms:
Li 0.012 0.309 0.203
Li 0.309 0.012 0.703
Li 0.691 0.988 0.297
Li 0.988 0.691 0.797
Mn 0.364 0.636 0.250
Mn 0.636 0.364 0.750
P 0.054 0.733 0.381
P 0.267 0.946 0.119
P 0.288 0.434 0.831
P 0.434 0.288 0.331
P 0.566 0.712 0.669
P 0.712 0.566 0.169
P 0.733 0.054 0.881
P 0.946 0.267 0.619
O 0.101 0.813 0.574
O 0.109 0.593 0.320
O 0.115 0.885 0.250
O 0.149 0.331 0.659
O 0.187 0.899 0.926
O 0.202 0.463 0.992
O 0.331 0.149 0.159
O 0.341 0.403 0.350
O 0.383 0.617 0.750
O 0.403 0.341 0.850
O 0.407 0.891 0.180
O 0.463 0.202 0.492
O 0.537 0.798 0.508
O 0.593 0.109 0.820
O 0.597 0.659 0.150
O 0.617 0.383 0.250
O 0.659 0.597 0.650
O 0.669 0.851 0.841
O 0.798 0.537 0.008
O 0.813 0.101 0.074
O 0.851 0.669 0.341
O 0.885 0.115 0.750
O 0.891 0.407 0.680
O 0.899 0.187 0.426


Crystalline Mn3O2F4 at its relaxed geometry. Source: Materials Project, functional PBE+U.

Output
Crystal system: orthorhombic
Calculated volume: 12.138 A^3/atom
E_form: -2527.7 meV/atom
Polymorph energy (0 for the lowest one): 0.12 eV/f.u.

abc: 9.787 4.777 4.673
angles: 90.00 90.00 90.00
Fractional coordinates of all 18 atoms:
Mn 0.000 0.247 0.000
Mn 0.175 0.711 0.468
Mn 0.325 0.289 0.968
Mn 0.500 0.753 0.500
Mn 0.675 0.289 0.968
Mn 0.825 0.711 0.468
O 0.170 0.439 0.165
O 0.330 0.561 0.665
O 0.670 0.561 0.665
O 0.830 0.439 0.165
F 0.000 0.522 0.661
F 0.000 0.904 0.285
F 0.161 0.023 0.759
F 0.339 0.977 0.259
F 0.500 0.096 0.785
F 0.500 0.478 0.161
F 0.661 0.977 0.259
F 0.839 0.023 0.759


Crystalline LiTi4MnP6O24 at its relaxed geometry. Source: Materials Project, functional PBE+U.

Output
Crystal system: trigonal
Calculated volume: 12.705 A^3/atom
E_form: -2972.4 meV/atom

abc: 8.639 8.639 8.639
angles: 60.14 60.14 60.14
Fractional coordinates of all 36 atoms:
Li 0.000 0.000 0.000
Ti 0.142 0.142 0.142
Ti 0.355 0.355 0.355
Ti 0.645 0.645 0.645
Ti 0.858 0.858 0.858
Mn 0.500 0.500 0.500
P 0.043 0.458 0.751
P 0.249 0.957 0.542
P 0.458 0.751 0.043
P 0.542 0.249 0.957
P 0.751 0.043 0.458
P 0.957 0.542 0.249
O 0.000 0.377 0.193
O 0.000 0.623 0.807
O 0.059 0.268 0.915
O 0.085 0.941 0.732
O 0.119 0.501 0.308
O 0.193 0.000 0.377
O 0.235 0.444 0.585
O 0.268 0.915 0.059
O 0.308 0.119 0.501
O 0.377 0.193 0.000
O 0.415 0.765 0.556
O 0.444 0.585 0.235
O 0.499 0.692 0.881
O 0.501 0.308 0.119
O 0.556 0.415 0.765
O 0.585 0.235 0.444
O 0.623 0.807 0.000
O 0.692 0.881 0.499
O 0.732 0.085 0.941
O 0.765 0.556 0.415
O 0.807 0.000 0.623
O 0.881 0.499 0.692
O 0.915 0.059 0.268
O 0.941 0.732 0.085


Crystalline Li3MnCo2O6 at its relaxed geometry. Source: Materials Project, functional PBE+U.

Output
Crystal system: triclinic
Calculated volume: 9.100 A^3/atom
E_form: -1820.7 meV/atom
Polymorph energy (0 for the lowest one): 0.17 eV/f.u.

abc: 5.064 5.142 8.900
angles: 73.46 84.19 79.85
Fractional coordinates of all 24 atoms:
Li 0.000 0.000 0.000
Li 0.000 0.340 0.661
Li 0.001 0.677 0.320
Li 0.502 0.838 0.167
Li 0.505 0.515 0.488
Li 0.506 0.176 0.827
Mn 0.252 0.758 0.744
Mn 0.752 0.257 0.244
Co 0.251 0.093 0.410
Co 0.253 0.422 0.079
Co 0.752 0.588 0.914
Co 0.752 0.927 0.575
O 0.106 0.064 0.205
O 0.117 0.422 0.861
O 0.117 0.726 0.553
O 0.386 0.094 0.627
O 0.387 0.789 0.935
O 0.398 0.452 0.283
O 0.607 0.566 0.706
O 0.639 0.225 0.045
O 0.640 0.910 0.367
O 0.865 0.289 0.442
O 0.866 0.603 0.122
O 0.896 0.950 0.783